# 1
# PBE-GGA U4Ga12Ni, relaxed
data_U4Ga12Ni
_cell_length_a 8.572
_cell_length_b 8.572
_cell_length_c 8.572
_cell_angle_alpha 90.00
_cell_angle_beta 90.00
_cell_angle_gamma 90.00
_symmetry_space_group_name_H-M 'I m -3 m'
_symmetry_Int_Tables_number 229
_symmetry_space_group_name_Hall '-I 4 2 3'
loop_
_atom_site_label
_atom_site_fract_x
_atom_site_fract_y
_atom_site_fract_z
U1 0.250 0.250 0.250
Ga1 0.000 0.000 0.285
Ga2 0.000 0.250 0.500
Ni1 0.000 0.000 0.000
# * DFT total energy: -5.401 eV per atom

---

# 2
# PBE-GGA UGaNi, relaxed
data_UGaNi
_cell_length_a 6.5893
_cell_length_b 6.5893
_cell_length_c 4.0833
_cell_angle_alpha 90.00
_cell_angle_beta 90.00
_cell_angle_gamma 120.00
_symmetry_space_group_name_H-M 'P -6 2 m'
_symmetry_Int_Tables_number 189
_symmetry_space_group_name_Hall 'P -6 -2'
loop_
_atom_site_label
_atom_site_fract_x
_atom_site_fract_y
_atom_site_fract_z
U1 0.0000 0.5718 0.0000
Ga1 0.0000 0.2381 0.5000
Ni1 0.0000 0.0000 0.0000
Ni2 0.3333 0.6667 0.5000
# * DFT total energy: -7.001 eV per atom